Model A:
The following is a DFT calculation (PBE with a Hubbard U) of a geometry-optimized Mn12O7F17 structure.

Summary:
- Space group: P1 (1)

abc: 4.809 5.775 15.963
angles: 89.46 89.42 84.77
Element x y z (fractional)
F 0.754 0.615 0.482
F 0.731 0.384 0.983
F 0.730 0.385 0.647
F 0.789 0.885 0.639
F 0.231 0.876 0.197
F 0.787 0.884 0.975
F 0.228 0.884 0.852
F 0.242 0.110 0.685
F 0.289 0.382 0.862
F 0.302 0.380 0.522
F 0.727 0.619 0.153
F 0.743 0.607 0.815
F 0.269 0.378 0.191
F 0.231 0.884 0.517
F 0.221 0.108 0.350
F 0.770 0.882 0.306
F 0.242 0.102 0.021
Mn 0.492 0.342 0.751
Mn 0.982 0.168 0.907
Mn 0.486 0.672 0.928
Mn 0.512 0.348 0.412
Mn 0.990 0.174 0.571
Mn 0.996 0.850 0.413
Mn 0.487 0.646 0.261
Mn 0.993 0.844 0.748
Mn 0.491 0.341 0.086
Mn 0.966 0.171 0.245
Mn 0.000 0.846 0.086
Mn 0.488 0.671 0.592
O 0.773 0.110 0.462
O 0.268 0.610 0.702
O 0.271 0.609 0.038
O 0.709 0.391 0.308
O 0.774 0.116 0.135
O 0.269 0.613 0.364
O 0.766 0.109 0.797


Model B:
The following is a DFT calculation (PBE with a Hubbard U) of a geometry-optimized Mn12O7F17 structure.

Summary:
- Space group: P1 (1)

abc: 4.768 5.764 15.889
angles: 89.80 89.47 88.60
Element x y z (fractional)
O 0.701 0.383 0.029
O 0.211 0.097 0.640
O 0.206 0.122 0.969
O 0.230 0.889 0.127
O 0.216 0.899 0.469
O 0.306 0.388 0.810
O 0.727 0.387 0.369
F 0.250 0.876 0.807
F 0.724 0.619 0.193
F 0.764 0.892 0.351
F 0.739 0.614 0.867
F 0.788 0.126 0.186
F 0.741 0.380 0.693
F 0.278 0.619 0.310
F 0.738 0.882 0.024
F 0.267 0.396 0.151
F 0.767 0.860 0.697
F 0.225 0.118 0.306
F 0.754 0.114 0.521
F 0.265 0.603 0.645
F 0.726 0.626 0.533
F 0.784 0.120 0.851
F 0.245 0.401 0.474
F 0.249 0.615 0.976
Mn 0.052 0.171 0.749
Mn 0.022 0.854 0.581
Mn 0.028 0.839 0.238
Mn 0.510 0.631 0.755
Mn 0.473 0.321 0.585
Mn 0.992 0.156 0.415
Mn 0.491 0.331 0.924
Mn 0.503 0.666 0.420
Mn 0.530 0.341 0.259
Mn 0.001 0.858 0.918
Mn 0.010 0.160 0.076
Mn 0.487 0.649 0.082


It is model A that is most stable; the runner-up trails by 20 meV/atom.


Model A:
The following is a DFT calculation (PBE with a Hubbard U) of a geometry-optimized Li3V2P4H2O16 structure.

Summary:
- Space group: P2_1 (4)

abc: 8.078 7.884 9.750
angles: 67.94 90.00 90.00
Element x y z (fractional)
O 0.182 0.558 0.853
O 0.815 0.942 0.652
O 0.328 0.397 0.099
O 0.555 0.802 0.095
O 0.322 0.397 0.602
O 0.828 0.603 0.901
O 0.452 0.413 0.361
O 0.175 0.565 0.354
O 0.827 0.932 0.134
O 0.822 0.603 0.398
O 0.675 0.435 0.646
O 0.937 0.302 0.591
O 0.551 0.088 0.141
O 0.667 0.107 0.406
O 0.051 0.912 0.859
O 0.560 0.802 0.593
O 0.315 0.058 0.348
O 0.060 0.198 0.407
O 0.682 0.442 0.147
O 0.167 0.893 0.594
O 0.437 0.698 0.409
O 0.055 0.198 0.905
O 0.671 0.102 0.899
O 0.046 0.900 0.357
O 0.952 0.587 0.639
O 0.452 0.687 0.903
O 0.171 0.898 0.101
O 0.546 0.100 0.643
O 0.455 0.401 0.858
O 0.955 0.599 0.142
O 0.952 0.313 0.097
O 0.327 0.068 0.866
H 0.490 0.733 0.986
H 0.989 0.256 0.506
H 0.990 0.267 0.014
H 0.489 0.744 0.494
Li 0.632 0.594 0.269
Li 0.367 0.907 0.222
Li 0.132 0.399 0.227
Li 0.632 0.601 0.773
Li 0.132 0.406 0.731
Li 0.867 0.093 0.778
P 0.652 0.979 0.067
P 0.649 0.982 0.569
P 0.152 0.021 0.933
P 0.149 0.018 0.431
P 0.848 0.490 0.068
P 0.348 0.510 0.932
P 0.342 0.515 0.435
P 0.842 0.485 0.565
V 0.496 0.238 0.751
V 0.996 0.762 0.249
V 0.504 0.246 0.253
V 0.004 0.754 0.747


Model B:
The following is a DFT calculation (PBE with a Hubbard U) of a geometry-optimized Li3V2P4H2O16 structure.

abc: 4.858 16.131 7.580
angles: 90.84 104.75 89.39
Element x y z (fractional)
Li 0.605 0.067 0.157
Li 0.387 0.434 0.844
Li 0.908 0.316 0.356
Li 0.387 0.933 0.844
Li 0.908 0.816 0.356
Li 0.605 0.566 0.157
H 0.515 0.752 0.507
H 0.514 0.253 0.506
H 0.972 0.505 0.989
H 0.972 0.005 0.988
O 0.844 0.086 0.648
O 0.739 0.278 0.556
O 0.241 0.970 0.050
O 0.759 0.029 0.948
O 0.542 0.164 0.823
O 0.651 0.836 0.854
O 0.340 0.164 0.140
O 0.484 0.338 0.187
O 0.543 0.664 0.823
O 0.986 0.907 0.690
O 0.019 0.592 0.307
O 0.618 0.978 0.337
O 0.866 0.728 0.152
O 0.485 0.838 0.187
O 0.129 0.275 0.856
O 0.866 0.228 0.152
O 0.129 0.775 0.856
O 0.341 0.664 0.140
O 0.257 0.229 0.434
O 0.151 0.914 0.348
O 0.018 0.092 0.306
O 0.377 0.524 0.669
O 0.241 0.470 0.050
O 0.844 0.586 0.648
O 0.377 0.024 0.669
O 0.985 0.407 0.690
O 0.257 0.729 0.434
O 0.739 0.778 0.556
O 0.151 0.414 0.348
O 0.759 0.529 0.948
O 0.651 0.336 0.854
O 0.619 0.478 0.337
P 0.130 0.176 0.265
P 0.367 0.424 0.230
P 0.870 0.325 0.737
P 0.633 0.578 0.764
P 0.870 0.825 0.737
P 0.130 0.676 0.265
P 0.633 0.078 0.764
P 0.367 0.924 0.230
V 0.000 0.002 0.500
V 0.493 0.749 0.997
V 0.000 0.502 0.501
V 0.493 0.249 0.996


It is model B that is most stable; the runner-up trails by 64 meV/atom.